A plane-wave DFT calculation with GGA-PBE was carried out for a relaxed CuP3NO9 crystal.

Summary:
Energy with MP2020 corrections (eV/cell): -386.49
Final energy (eV per atom): -6.46
Excess energy over the best structure of this formula in the dataset (eV per atom): 0.016
Energy of formation from the pure elements (eV/atom): -1.672
Crystal system: monoclinic

Unit cell a=11.490 b=5.167 c=13.236 alpha=79.54 beta=90.00 gamma=90.00
Atoms (fractional coordinates):
Cu  0.000  0.000  0.500
Cu  0.500  0.000  0.000
Cu  0.500  0.000  0.500
Cu  0.000  0.000  0.000
P  0.753  0.249  0.492
P  0.253  0.751  0.008
P  0.247  0.751  0.508
P  0.747  0.249  0.992
P  0.911  0.474  0.629
P  0.411  0.526  0.871
P  0.089  0.526  0.371
P  0.589  0.474  0.129
P  0.920  0.517  0.850
P  0.420  0.483  0.650
P  0.080  0.483  0.150
P  0.580  0.517  0.350
N  0.712  0.937  0.748
N  0.212  0.063  0.752
N  0.288  0.063  0.252
N  0.788  0.937  0.248
O  0.880  0.407  0.749
O  0.380  0.593  0.751
O  0.120  0.593  0.251
O  0.620  0.407  0.249
O  0.787  0.382  0.587
O  0.287  0.618  0.913
O  0.213  0.618  0.413
O  0.713  0.382  0.087
O  0.797  0.490  0.911
O  0.297  0.510  0.589
O  0.203  0.510  0.089
O  0.703  0.490  0.411
O  0.659  0.043  0.525
O  0.159  0.957  0.975
O  0.341  0.957  0.475
O  0.841  0.043  0.025
O  0.642  0.149  0.941
O  0.142  0.851  0.559
O  0.358  0.851  0.059
O  0.858  0.149  0.441
O  0.914  0.775  0.603
O  0.414  0.225  0.897
O  0.086  0.225  0.397
O  0.586  0.775  0.103
O  0.960  0.795  0.830
O  0.460  0.205  0.670
O  0.040  0.205  0.170
O  0.540  0.795  0.330
O  0.009  0.314  0.601
O  0.509  0.686  0.899
O  0.991  0.686  0.399
O  0.491  0.314  0.101
O  0.009  0.327  0.911
O  0.509  0.673  0.589
O  0.991  0.673  0.089
O  0.491  0.327  0.411